VASP calculation (PBE) on a relaxed structure of Lu2B6Rh.

The structure in POSCAR format:
```
Lu2B6Rh
1.0
9.0743 0.0000 0.0000
0.0000 11.3901 0.0000
0.0000 0.0000 3.5965
Lu B Rh
8 24 4
Direct
0.0551 0.1260 0.0000
0.1784 0.4133 0.0000
0.3216 0.9133 0.0000
0.4449 0.6260 0.0000
0.5551 0.3740 0.0000
0.6784 0.0867 0.0000
0.8216 0.5867 0.0000
0.9449 0.8740 0.0000
0.0176 0.2879 0.5000
0.0534 0.5655 0.5000
0.1089 0.9700 0.5000
0.1338 0.8161 0.5000
0.2042 0.2355 0.5000
0.2490 0.0791 0.5000
0.2510 0.5791 0.5000
0.2958 0.7355 0.5000
0.3662 0.3161 0.5000
0.3911 0.4700 0.5000
0.4466 0.0655 0.5000
0.4824 0.7879 0.5000
0.5176 0.2121 0.5000
0.5534 0.9345 0.5000
0.6089 0.5300 0.5000
0.6338 0.6839 0.5000
0.7042 0.2645 0.5000
0.7490 0.4209 0.5000
0.7510 0.9209 0.5000
0.7958 0.7645 0.5000
0.8662 0.1839 0.5000
0.8911 0.0300 0.5000
0.9466 0.4345 0.5000
0.9824 0.7121 0.5000
0.1404 0.6789 0.0000
0.3596 0.1789 0.0000
0.6404 0.8211 0.0000
0.8596 0.3211 0.0000
```

Summary:
DFT total energy   -6.96 eV/atom
Theoretical density   9.25 g/cm³
V   10.3 Å³/atom

VASP calculation (PBE) on a relaxed structure of Sr2PdPt.

The structure in POSCAR format:
```
Sr2PdPt
1.0
7.4196 0.0000 0.0000
0.0000 7.4196 0.0000
0.0000 0.0000 7.4196
Sr Pd Pt
8 4 4
Direct
0.2500 0.2500 0.2500
0.2500 0.2500 0.7500
0.2500 0.7500 0.2500
0.2500 0.7500 0.7500
0.7500 0.2500 0.2500
0.7500 0.2500 0.7500
0.7500 0.7500 0.2500
0.7500 0.7500 0.7500
0.0000 0.0000 0.0000
0.0000 0.5000 0.5000
0.5000 0.0000 0.5000
0.5000 0.5000 0.0000
0.0000 0.0000 0.5000
0.0000 0.5000 0.0000
0.5000 0.0000 0.0000
0.5000 0.5000 0.5000
```

Summary:
M_tot   0.000 μB/atom
DFT total energy   -4.31 eV/atom
Theoretical density   7.75 g/cm³
V   25.5 Å³/atom

VASP calculation (PBE) on a relaxed structure of NbVCu6Se8.

The structure in POSCAR format:
```
NbVCu6Se8
1.0
5.6496 0.0000 0.0000
0.0000 5.6496 0.0000
0.0000 0.0000 11.2925
Nb V Cu Se
1 1 6 8
Direct
0.0000 0.0000 0.0000
0.0000 0.0000 0.5000
0.0000 0.0000 0.2518
0.0000 0.0000 0.7482
0.0000 0.5000 0.0000
0.0000 0.5000 0.5000
0.5000 0.0000 0.0000
0.5000 0.0000 0.5000
0.2417 0.2417 0.6205
0.2417 0.7583 0.3795
0.2518 0.2518 0.1262
0.2518 0.7482 0.8738
0.7482 0.2518 0.8738
0.7482 0.7482 0.1262
0.7583 0.2417 0.3795
0.7583 0.7583 0.6205
```

Summary:
M_tot   0.000 μB/atom
DFT total energy   -4.98 eV/atom
Theoretical density   5.33 g/cm³
V   22.5 Å³/atom

VASP calculation (PBE) on a relaxed structure of TlSbS2.

The structure in POSCAR format:
```
TlSbS2
1.0
5.8721 0.0000 0.0000
0.0000 5.8721 0.0000
0.0000 0.0000 11.9921
Tl Sb S
4 4 8
Direct
0.0000 0.2500 0.3750
0.0000 0.7500 0.6250
0.5000 0.2500 0.1250
0.5000 0.7500 0.8750
0.0000 0.2500 0.8750
0.0000 0.7500 0.1250
0.5000 0.2500 0.6250
0.5000 0.7500 0.3750
0.0000 0.2500 0.1016
0.0000 0.2500 0.6484
0.0000 0.7500 0.3516
0.0000 0.7500 0.8984
0.5000 0.2500 0.3984
0.5000 0.2500 0.8516
0.5000 0.7500 0.1484
0.5000 0.7500 0.6016
```

Summary:
M_tot   0.001 μB/atom
DFT total energy   -3.88 eV/atom
Theoretical density   6.27 g/cm³
V   25.8 Å³/atom

VASP calculation (PBE) on a relaxed structure of GdH18C4N6Cl3O8.

The structure in POSCAR format:
```
GdH18C4N6Cl3O8
1.0
3.8907 -6.9395 0.0000
3.8907 6.9395 0.0000
-3.3283 0.0000 17.0810
Gd H C N Cl O
2 36 8 12 6 16
Direct
0.1079 0.8921 0.7500
0.8921 0.1079 0.2500
0.0066 0.5101 0.8148
0.1174 0.5550 0.3125
0.1208 0.7894 0.0213
0.1226 0.3217 0.5679
0.1246 0.3433 0.9624
0.1255 0.4657 0.3899
0.2004 0.6817 0.8752
0.2107 0.8792 0.4787
0.3183 0.7996 0.6248
0.3217 0.1226 0.0679
0.3433 0.1246 0.4624
0.4260 0.4618 0.3108
0.4370 0.5329 0.6018
0.4450 0.8826 0.1875
0.4618 0.4260 0.8108
0.4657 0.1255 0.8899
0.4671 0.5630 0.8982
0.4899 0.9934 0.6852
0.5101 0.0066 0.3148
0.5329 0.4370 0.1018
0.5343 0.8745 0.1101
0.5382 0.5740 0.1892
0.5550 0.1174 0.8125
0.5630 0.4671 0.3982
0.5740 0.5382 0.6892
0.6567 0.8754 0.5376
0.6783 0.8774 0.9321
0.6817 0.2004 0.3752
0.7894 0.1208 0.5213
0.7996 0.3183 0.1248
0.8745 0.5343 0.6101
0.8754 0.6567 0.0377
0.8774 0.6783 0.4321
0.8792 0.2107 0.9787
0.8826 0.4450 0.6875
0.9934 0.4899 0.1852
0.0420 0.9409 0.0986
0.0591 0.9580 0.4014
0.2835 0.3044 0.6626
0.3044 0.2835 0.1626
0.6956 0.7165 0.8374
0.7165 0.6956 0.3374
0.9409 0.0420 0.5986
0.9580 0.0591 0.9014
0.0073 0.7913 0.0436
0.1135 0.2296 0.6070
0.2087 0.9927 0.4564
0.2296 0.1135 0.1070
0.4456 0.4667 0.6484
0.4667 0.4456 0.1484
0.5333 0.5544 0.8516
0.5544 0.5333 0.3516
0.7704 0.8865 0.8930
0.7913 0.0073 0.5436
0.8865 0.7704 0.3930
0.9927 0.2087 0.9564
0.2136 0.7864 0.2500
0.2925 0.6294 0.5150
0.3706 0.7075 0.9850
0.6294 0.2925 0.0150
0.7075 0.3706 0.4850
0.7864 0.2136 0.7500
0.0569 0.4294 0.3353
0.0729 0.0903 0.3634
0.0903 0.0729 0.8634
0.1025 0.6565 0.8291
0.2262 0.2841 0.2225
0.2841 0.2262 0.7225
0.3435 0.8975 0.6709
0.4294 0.0569 0.8353
0.5706 0.9431 0.1647
0.6565 0.1025 0.3291
0.7159 0.7738 0.2775
0.7738 0.7159 0.7775
0.8975 0.3435 0.1709
0.9097 0.9271 0.1366
0.9271 0.9097 0.6366
0.9431 0.5706 0.6647
```

Summary:
M_tot   0.175 μB/atom
DFT total energy   -6.09 eV/atom
Theoretical density   1.95 g/cm³
V   11.5 Å³/atom

VASP calculation (PBE) on a relaxed structure of Gd2SeO2.

The structure in POSCAR format:
```
Gd2SeO2
1.0
3.9093 0.0000 0.0000
-1.9547 3.3856 0.0000
0.0000 0.0000 6.9187
Gd Se O
2 1 2
Direct
0.3333 0.6667 0.2897
0.6667 0.3333 0.7103
0.0000 0.0000 0.0000
0.3333 0.6667 0.6256
0.6667 0.3333 0.3744
```

Summary:
DFT total energy   -11.38 eV/atom
Theoretical density   7.72 g/cm³
V   18.3 Å³/atom

VASP calculation (PBE) on a relaxed structure of TiCrAg.

The structure in POSCAR format:
```
TiCrAg
1.0
6.1072 0.0000 0.0000
0.0000 6.1072 0.0000
0.0000 0.0000 6.1072
Ti Cr Ag
4 4 4
Direct
0.0000 0.0000 0.0000
0.0000 0.5000 0.5000
0.5000 0.0000 0.5000
0.5000 0.5000 0.0000
0.2500 0.2500 0.2500
0.2500 0.7500 0.7500
0.7500 0.2500 0.7500
0.7500 0.7500 0.2500
0.0000 0.0000 0.5000
0.0000 0.5000 0.0000
0.5000 0.0000 0.0000
0.5000 0.5000 0.5000
```

Summary:
M_tot   1.051 μB/atom
DFT total energy   -5.95 eV/atom
Theoretical density   6.06 g/cm³
V   19.0 Å³/atom

VASP calculation (PBE) on a relaxed structure of Lu3Mg2Si3O12.

The structure in POSCAR format:
```
Lu3Mg2Si3O12
1.0
-6.0293 6.0293 6.0293
6.0293 -6.0293 6.0293
6.0293 6.0293 -6.0293
Lu Mg Si O
12 8 12 48
Direct
0.1250 0.2500 0.3750
0.1250 0.3750 0.7500
0.2500 0.3750 0.1250
0.2500 0.8750 0.6250
0.3750 0.1250 0.2500
0.3750 0.7500 0.1250
0.6250 0.2500 0.8750
0.6250 0.8750 0.7500
0.7500 0.1250 0.3750
0.7500 0.6250 0.8750
0.8750 0.6250 0.2500
0.8750 0.7500 0.6250
0.0000 0.0000 0.0000
0.0000 0.0000 0.5000
0.0000 0.5000 0.0000
0.0000 0.5000 0.5000
0.5000 0.0000 0.0000
0.5000 0.0000 0.5000
0.5000 0.5000 0.0000
0.5000 0.5000 0.5000
0.1250 0.7500 0.8750
0.1250 0.8750 0.2500
0.2500 0.1250 0.8750
0.2500 0.6250 0.3750
0.3750 0.2500 0.6250
0.3750 0.6250 0.7500
0.6250 0.3750 0.2500
0.6250 0.7500 0.3750
0.7500 0.3750 0.6250
0.7500 0.8750 0.1250
0.8750 0.1250 0.7500
0.8750 0.2500 0.1250
0.0171 0.2136 0.1218
0.0171 0.3035 0.8953
0.0917 0.7136 0.6965
0.0917 0.8782 0.3953
0.1047 0.6218 0.4083
0.1047 0.9829 0.6965
0.1218 0.0171 0.2136
0.1218 0.6047 0.9083
0.1965 0.2136 0.5917
0.1965 0.4829 0.6047
0.2136 0.1218 0.0171
0.2136 0.5917 0.1965
0.2864 0.3035 0.9083
0.2864 0.4829 0.3782
0.3035 0.8953 0.0171
0.3035 0.9083 0.2864
0.3782 0.2864 0.4829
0.3782 0.5917 0.8953
0.3953 0.0917 0.8782
0.3953 0.8035 0.5171
0.4083 0.1047 0.6218
0.4083 0.8035 0.7864
0.4829 0.3782 0.2864
0.4829 0.6047 0.1965
0.5171 0.3953 0.8035
0.5171 0.6218 0.7136
0.5917 0.1965 0.2136
0.5917 0.8953 0.3782
0.6047 0.1965 0.4829
0.6047 0.9083 0.1218
0.6218 0.4083 0.1047
0.6218 0.7136 0.5171
0.6965 0.0917 0.7136
0.6965 0.1047 0.9829
0.7136 0.5171 0.6218
0.7136 0.6965 0.0917
0.7864 0.4083 0.8035
0.7864 0.8782 0.9829
0.8035 0.5171 0.3953
0.8035 0.7864 0.4083
0.8782 0.3953 0.0917
0.8782 0.9829 0.7864
0.8953 0.0171 0.3035
0.8953 0.3782 0.5917
0.9083 0.1218 0.6047
0.9083 0.2864 0.3035
0.9829 0.6965 0.1047
0.9829 0.7864 0.8782
```

Summary:
M_tot   0.040 μB/atom
DFT total energy   -7.71 eV/atom
Theoretical density   6.44 g/cm³
V   11.0 Å³/atom